DFT (r2SCAN) results for a relaxed CaC2 crystal.

Properties
Crystal system   monoclinic

Unit cell a=3.900 b=3.900 c=7.384 alpha=75.42 beta=75.42 gamma=64.51
Positions (direct):
C: 0.579 0.860 0.060
Ca: 0.825 0.175 0.250
Ca: 0.175 0.825 0.750
C: 0.860 0.579 0.560
C: 0.140 0.421 0.440
C: 0.421 0.140 0.940



DFT (r2SCAN) results for a relaxed CaC2 crystal.

Unit cell a=6.696 b=7.744 c=4.057 alpha=79.02 beta=88.07 gamma=70.84
Positions (direct):
C: 0.796 0.940 0.665
C: 0.758 0.566 0.310
C: 0.242 0.434 0.690
Ca: 0.979 0.248 0.754
Ca: 0.479 0.248 0.254
Ca: 0.521 0.752 0.746
C: 0.742 0.434 0.190
C: 0.704 0.060 0.835
Ca: 0.021 0.752 0.246
C: 0.258 0.566 0.810
C: 0.296 0.940 0.165
C: 0.204 0.060 0.335



Number 1: final energy -54.69 eV/cell, mass density 2.200 g/cm3, energy relative to the elements -0.14 eV per atom. Number 2: final energy -109.28 eV/cell, mass density 2.183 g/cm3, energy relative to the elements -0.13 eV per atom.